## P
Material: Na3Zr2Si2PO12
Method: DFT, PBE
State: optimized geometry

## Properties
Its symmetry is P1, No. 1.

Unit cell a=9.1534 b=9.3165 c=15.8974 alpha=105.97 beta=90.19 gamma=118.59
Last column: nearest neighbours and their distance in Å.
Sites, in units of the cell vectors:
Na 0.0000 0.0000 0.0000  4 O 2.39-2.52
Na 0.0079 0.8326 0.3434  7 O 2.45-2.73
Na 0.0450 0.6754 0.6771  5 O 2.38-2.58
Na 0.3720 0.5095 0.6238  5 O 2.38-2.57
Na 0.4019 0.3328 0.9511  8 O 2.45-2.74
Na 0.4164 0.1690 0.3069  5 O 2.39-2.55
Na 0.4986 0.0075 0.4968  5 O 2.37-2.59
Na 0.5125 0.8407 0.8464  7 O 2.46-2.71
Na 0.5686 0.6504 0.1701  5 O 2.38-2.59
Na 0.8976 0.4537 0.1109  4 O 2.33-2.53
Na 0.9062 0.3424 0.4542  8 O 2.46-2.74
Na 0.9169 0.1722 0.8061  5 O 2.38-2.56
Zr 0.1882 0.5362 0.9724  5 O 2.00-2.16
Zr 0.2360 0.6492 0.3277  5 O 2.01-2.16
Zr 0.4316 0.0348 0.7264  5 O 2.01-2.15
Zr 0.4859 0.1457 0.0740  5 O 2.01-2.15
Zr 0.6842 0.5347 0.4732  5 O 2.00-2.16
Zr 0.7329 0.6479 0.8279  5 O 2.01-2.16
Zr 0.9298 0.0331 0.2279  6 O 2.01-2.24
Zr 0.9878 0.1488 0.5737  5 O 2.00-2.16
Si 0.1138 0.8283 0.5262  4 O 1.64-1.65
Si 0.1921 0.8536 0.8851  4 O 1.63-1.65
Si 0.2257 0.3278 0.4149  4 O 1.64-1.65
Si 0.3037 0.3541 0.7741  4 O 1.63-1.65
Si 0.6147 0.8264 0.0266  4 O 1.63-1.65
Si 0.6923 0.8553 0.3863  4 O 1.63-1.65
Si 0.7265 0.3283 0.9149  4 O 1.64-1.65
Si 0.8031 0.3522 0.2742  4 O 1.64-1.65
P 0.1854 0.8404 0.1711  4 O 1.55-1.56
P 0.2306 0.3436 0.1300  4 O 1.55-1.56
P 0.6880 0.8415 0.6716  4 O 1.55-1.56
P 0.7306 0.3419 0.6291  4 O 1.55
O 0.0178 0.8423 0.1800  1 P 1.55
O 0.0605 0.9740 0.5280  1 Si 1.64
O 0.0980 0.1811 0.1507  1 P 1.55
O 0.1325 0.1434 0.3341  1 Si 1.64
O 0.1422 0.3148 0.5062  1 Si 1.65
O 0.1504 0.6776 0.0949  1 P 1.55
O 0.1530 0.3430 0.0426  1 P 1.56
O 0.1729 0.2965 0.6854  1 Si 1.63
O 0.2007 0.4725 0.3865  1 Si 1.64
O 0.2053 0.8111 0.4378  1 Si 1.65
O 0.2090 0.3677 0.8618  1 Si 1.65
O 0.2197 0.7088 0.9118  1 Si 1.64
O 0.2470 0.8874 0.6146  1 Si 1.64
O 0.2548 0.8405 0.2606  1 P 1.56
O 0.2769 0.8706 0.7946  1 Si 1.65
O 0.2785 0.5113 0.2058  1 P 1.55
O 0.2826 0.0356 0.9673  1 Si 1.64
O 0.3199 0.0063 0.1533  1 P 1.55
O 0.3586 0.2096 0.7733  1 Si 1.64
O 0.3965 0.3387 0.1161  1 P 1.56
O 0.4246 0.3854 0.4358  1 Si 1.64
O 0.4473 0.6410 0.0200  1 Si 1.65
O 0.4717 0.5380 0.7799  1 Si 1.64
O 0.4938 0.7997 0.3680  1 Si 1.63
O 0.5182 0.8399 0.6811  1 P 1.56
O 0.5584 0.9702 0.0284  1 Si 1.64
O 0.5983 0.1767 0.6478  1 P 1.55
O 0.6361 0.1462 0.8325  1 Si 1.64
O 0.6407 0.3078 0.0049  1 Si 1.65
O 0.6491 0.6764 0.5960  1 P 1.55
O 0.6591 0.3401 0.5398  1 P 1.55
O 0.6728 0.2927 0.1846  1 Si 1.64
O 0.7001 0.4734 0.8881  1 Si 1.64
O 0.7084 0.8135 0.9385  1 Si 1.65
O 0.7105 0.3718 0.3618  1 Si 1.65
O 0.7176 0.7101 0.4141  1 Si 1.64
O 0.7480 0.8850 0.1144  1 Si 1.63
O 0.7592 0.8426 0.7608  1 P 1.55
O 0.7678 0.5062 0.7049  1 P 1.55
O 0.7749 0.8664 0.2947  1 Si 1.65
O 0.7867 0.0397 0.4671  1 Si 1.64
O 0.8203 0.0065 0.6528  1 P 1.55
O 0.8536 0.2052 0.2743  1 Si 1.64
O 0.9005 0.3440 0.6200  1 P 1.55
O 0.9257 0.3873 0.9380  1 Si 1.64
O 0.9455 0.6454 0.5221  1 Si 1.64
O 0.9741 0.5315 0.2769  1 Si 1.64
O 0.9928 0.7940 0.8644  1 Si 1.63


## Q
Material: Na3Zr2Si2PO12
Method: DFT, PBE
State: optimized geometry

Unit cell a=9.2277 b=9.2277 c=22.6956 alpha=89.80 beta=90.20 gamma=119.85
Last column: nearest neighbours and their distance in Å.
Sites, in units of the cell vectors:
P 0.6287 0.6670 0.9202  4 O 1.54-1.56
P 0.6663 0.0380 0.0868  4 O 1.54-1.56
P 0.9620 0.3337 0.5868  4 O 1.54-1.56
P 0.3330 0.3713 0.4202  4 O 1.54-1.56
P 0.9997 0.7047 0.7535  4 O 1.54-1.56
P 0.2953 0.0003 0.2535  4 O 1.54-1.56
O 0.9706 0.8113 0.0866  1 Si 1.64
O 0.3496 0.8786 0.8517  1 Si 1.64
O 0.1593 0.9725 0.9143  1 Si 1.65
O 0.3167 0.4493 0.4780  1 P 1.54
O 0.9833 0.7827 0.8114  1 P 1.54
O 0.1596 0.4881 0.2504  1 Si 1.64
O 0.2173 0.0167 0.3114  1 P 1.54
O 0.1567 0.4656 0.9742  1 Si 1.65
O 0.7881 0.9838 0.6850  1 Si 1.64
O 0.8498 0.5255 0.7473  1 P 1.55
O 0.6547 0.5095 0.6346  1 Si 1.64
O 0.1445 0.6430 0.0793  1 Si 1.65
O 0.1805 0.9862 0.2007  1 P 1.56
O 0.4929 0.1547 0.9171  1 Si 1.64
O 0.9880 0.1761 0.3012  1 Si 1.64
O 0.1572 0.6786 0.4679  1 Si 1.64
O 0.1412 0.4836 0.5806  1 P 1.55
O 0.3039 0.4779 0.7533  1 Si 1.64
O 0.4673 0.1559 0.5247  1 Si 1.65
O 0.3070 0.8375 0.2523  1 P 1.56
O 0.5507 0.6833 0.9780  1 P 1.54
O 0.0236 0.1888 0.9127  1 Si 1.65
O 0.1887 0.0294 0.5866  1 Si 1.64
O 0.8292 0.0263 0.0857  1 P 1.56
O 0.8472 0.3195 0.5341  1 P 1.56
O 0.3214 0.8428 0.9679  1 Si 1.64
O 0.8006 0.8226 0.1914  1 Si 1.65
O 0.1214 0.6504 0.3517  1 Si 1.64
O 0.6829 0.5452 0.5184  1 Si 1.64
O 0.5344 0.8433 0.4742  1 Si 1.65
O 0.6805 0.1528 0.0341  1 P 1.56
O 0.6373 0.1446 0.4199  1 Si 1.64
O 0.6903 0.5222 0.2460  1 Si 1.65
O 0.6942 0.1741 0.7477  1 Si 1.65
O 0.8840 0.3500 0.6447  1 P 1.54
O 0.3471 0.4862 0.3674  1 P 1.56
O 0.4778 0.3097 0.7460  1 Si 1.65
O 0.8678 0.5100 0.1409  1 Si 1.65
O 0.1339 0.4892 0.8580  1 Si 1.65
O 0.5108 0.8661 0.3580  1 Si 1.65
O 0.0162 0.2119 0.1850  1 Si 1.64
O 0.8262 0.8214 0.5838  1 Si 1.64
O 0.1786 0.1738 0.0838  1 Si 1.64
O 0.0275 0.8407 0.4143  1 Si 1.65
O 0.8079 0.8169 0.9140  1 P 1.55
O 0.4900 0.1322 0.6409  1 Si 1.65
O 0.8233 0.7989 0.3075  1 Si 1.65
O 0.4926 0.6392 0.5810  1 Si 1.65
O 0.9737 0.1708 0.5857  1 P 1.56
O 0.8239 0.0120 0.8012  1 Si 1.64
O 0.3608 0.5074 0.0810  1 Si 1.65
O 0.2011 0.1767 0.8075  1 Si 1.65
O 0.8112 0.9764 0.4127  1 Si 1.65
O 0.1625 0.6930 0.7523  1 P 1.56
O 0.5138 0.6529 0.8674  1 P 1.56
O 0.1774 0.1994 0.6914  1 Si 1.65
O 0.4905 0.3453 0.1346  1 Si 1.64
O 0.0138 0.8195 0.7007  1 P 1.56
O 0.5164 0.8588 0.0806  1 P 1.55
O 0.8453 0.5071 0.4171  1 Si 1.64
O 0.5221 0.6961 0.2533  1 Si 1.64
O 0.4745 0.1502 0.2473  1 P 1.55
O 0.5119 0.8404 0.7504  1 Si 1.64
O 0.6500 0.1160 0.1447  1 P 1.54
O 0.1831 0.1921 0.4140  1 P 1.55
O 0.8441 0.5327 0.0247  1 Si 1.65
O 0.8259 0.3058 0.2477  1 Si 1.65
O 0.8554 0.3627 0.9199  1 Si 1.64
O 0.4548 0.3171 0.0184  1 Si 1.64
O 0.3570 0.8555 0.5793  1 Si 1.65
O 0.6404 0.5042 0.9190  1 P 1.56
O 0.4958 0.3596 0.4190  1 P 1.56
Na 0.6653 0.6934 0.0843  6 O 2.46-2.72
Na 0.3492 0.6692 0.6679  6 O 2.43-2.70
Na 0.0352 0.3371 0.0877  5 O 2.45-2.61
Na 0.9732 0.6680 0.9177  6 O 2.46-2.72
Na 0.3066 0.3347 0.5843  6 O 2.46-2.72
Na 0.3320 0.0268 0.4177  6 O 2.46-2.72
Na 0.7019 0.6704 0.4210  5 O 2.45-2.61
Na 0.6629 0.9648 0.5877  5 O 2.45-2.61
Na 0.3308 0.6508 0.1679  6 O 2.43-2.70
Na 0.9974 0.9842 0.5013  6 O 2.43-2.70
Na 0.3685 0.0037 0.7544  5 O 2.45-2.61
Na 0.9986 0.3601 0.7510  6 O 2.46-2.72
Na 0.9963 0.6315 0.2544  5 O 2.45-2.61
Na 0.6641 0.3175 0.8346  6 O 2.43-2.70
Na 0.0158 0.0026 0.0013  6 O 2.43-2.70
Na 0.3296 0.2981 0.9210  5 O 2.45-2.61
Na 0.6825 0.3359 0.3346  6 O 2.43-2.70
Na 0.6399 0.0014 0.2510  6 O 2.46-2.72
Zr 0.3284 0.6573 0.3137  6 O 2.07-2.25
Zr 0.3427 0.6716 0.8137  6 O 2.07-2.25
Zr 0.0094 0.0049 0.1470  6 O 2.07-2.25
Zr 0.3286 0.6717 0.5198  6 O 2.00-2.22
Zr 0.9949 0.0047 0.3532  6 O 2.00-2.22
Zr 0.6617 0.3240 0.9803  6 O 2.07-2.25
Zr 0.6760 0.3383 0.4803  6 O 2.07-2.25
Zr 0.6620 0.3384 0.1865  6 O 2.00-2.22
Zr 0.3283 0.6714 0.0198  6 O 2.00-2.22
Zr 0.9951 0.9906 0.6470  6 O 2.07-2.25
Zr 0.6616 0.3380 0.6865  6 O 2.00-2.22
Zr 0.9953 0.0051 0.8532  6 O 2.00-2.22
Si 0.3337 0.9642 0.9127  4 O 1.64-1.65
Si 0.3692 0.3329 0.0794  4 O 1.64-1.65
Si 0.9597 0.6287 0.0827  4 O 1.64-1.65
Si 0.0379 0.3736 0.9161  4 O 1.64-1.65
Si 0.2930 0.2954 0.7494  4 O 1.64-1.65
Si 0.6671 0.6308 0.5794  4 O 1.64-1.65
Si 0.7025 0.9996 0.7460  4 O 1.64-1.65
Si 0.7046 0.7070 0.2494  4 O 1.64-1.65
Si 0.0358 0.6663 0.4127  4 O 1.64-1.65
Si 0.6264 0.9621 0.4161  4 O 1.64-1.65
Si 0.0004 0.2975 0.2460  4 O 1.64-1.65
Si 0.3713 0.0403 0.5827  4 O 1.64-1.65


If you had to name the least stable structure above, which would it be? It would be Q.